First-principles (PBE+U) data for Ba4Ta10FeO30 after structural relaxation, as listed in Materials Project.

abc: 10.033 10.033 10.033
angles: 133.49 117.80 81.10
Element x y z (fractional)
Ta (0.646, 0.083, 0.068)
Ta (0.900, 0.833, 0.567)
Ta (0.459, 0.709, 0.250)
Ta (0.266, 0.333, 0.433)
Ta (0.015, 0.577, 0.932)
Ta (0.646, 0.577, 0.563)
Ta (0.459, 0.208, 0.750)
Ta (0.015, 0.083, 0.437)
Ta (0.266, 0.833, 0.932)
Ta (0.900, 0.333, 0.068)
O (0.233, 0.623, 0.128)
O (0.424, 0.804, 0.119)
O (0.131, 0.876, 0.745)
O (0.825, 0.176, 0.081)
O (0.789, 0.517, 0.728)
O (0.463, 0.951, 0.993)
O (0.131, 0.385, 0.255)
O (0.905, 0.584, 0.321)
O (0.926, 0.103, 0.823)
O (0.024, 0.336, 0.688)
O (0.495, 0.623, 0.390)
O (0.456, 0.456, 0.000)
O (0.279, 0.103, 0.177)
O (0.095, 0.744, 0.919)
O (0.463, 0.963, 0.500)
O (0.095, 0.176, 0.351)
O (0.648, 0.336, 0.312)
O (0.958, 0.951, 0.488)
O (0.495, 0.105, 0.872)
O (0.678, 0.827, 0.851)
O (0.263, 0.584, 0.679)
O (0.977, 0.827, 0.149)
O (0.825, 0.744, 0.649)
O (0.958, 0.470, 0.007)
O (0.685, 0.304, 0.881)
O (0.789, 0.061, 0.272)
O (0.424, 0.304, 0.619)
O (0.463, 0.470, 0.512)
O (0.685, 0.804, 0.381)
O (0.233, 0.105, 0.610)
Ba (0.665, 0.665, 0.000)
Ba (0.256, 0.756, 0.500)
Ba (0.254, 0.254, 0.000)
Ba (0.655, 0.155, 0.500)
Fe (0.939, 0.939, 0.000)

E   -9.14 eV/atom
Crystal system   orthorhombic
M_tot   0.09 μB/atom